Density functional theory data (PBE-GGA) for a geometry-optimized SiO2 structure. Values from VASP.

## Properties
Raw total energy in eV per atom: -7.908
Spin magnetization in μB per formula unit: 0.0
Space-group type: R-3 (148)

The structure in Quantum ESPRESSO input format:
```
&SYSTEM
  ibrav = 0, nat = 120, ntyp = 2
/
ATOMIC_SPECIES
Si 28.09 Si.upf
O 16.00 O.upf
CELL_PARAMETERS angstrom
-1.638 9.761 12.737
-5.935 -3.345 14.622
7.680 -0.480 14.177
ATOMIC_POSITIONS crystal
Si 0.770 0.130 0.773
Si 0.813 0.385 0.010
Si 0.773 0.030 0.400
Si 0.030 0.400 0.773
Si 0.011 0.223 0.765
Si 0.227 0.970 0.600
Si 0.214 0.214 0.214
Si 0.616 0.648 0.234
Si 0.230 0.870 0.227
Si 0.615 0.990 0.187
Si 0.130 0.773 0.770
Si 0.223 0.765 0.011
Si 0.600 0.227 0.970
Si 0.766 0.384 0.352
Si 0.227 0.230 0.870
Si 0.010 0.813 0.385
Si 0.648 0.234 0.616
Si 0.026 0.647 0.629
Si 0.187 0.615 0.990
Si 0.765 0.011 0.223
Si 0.989 0.777 0.235
Si 0.371 0.974 0.353
Si 0.786 0.786 0.786
Si 0.773 0.770 0.130
Si 0.863 0.863 0.863
Si 0.777 0.235 0.989
Si 0.400 0.773 0.030
Si 0.352 0.766 0.384
Si 0.970 0.600 0.227
Si 0.385 0.010 0.813
Si 0.870 0.227 0.230
Si 0.990 0.187 0.615
Si 0.234 0.616 0.648
Si 0.353 0.371 0.974
Si 0.647 0.629 0.026
Si 0.974 0.353 0.371
Si 0.629 0.026 0.647
Si 0.235 0.989 0.777
Si 0.384 0.352 0.766
Si 0.137 0.137 0.137
O 0.524 0.668 0.032
O 0.968 0.476 0.332
O 0.951 0.282 0.507
O 0.752 0.344 0.997
O 0.105 0.792 0.121
O 0.332 0.968 0.476
O 0.703 0.900 0.718
O 0.722 0.893 0.132
O 0.825 0.825 0.825
O 0.175 0.175 0.175
O 0.282 0.507 0.951
O 0.780 0.997 0.851
O 0.309 0.684 0.520
O 0.815 0.333 0.263
O 0.149 0.220 0.003
O 0.888 0.916 0.421
O 0.248 0.656 0.003
O 0.916 0.421 0.888
O 0.868 0.278 0.107
O 0.797 0.146 0.330
O 0.032 0.524 0.668
O 0.278 0.107 0.868
O 0.263 0.815 0.333
O 0.112 0.084 0.579
O 0.146 0.330 0.797
O 0.476 0.332 0.968
O 0.352 0.874 0.371
O 0.267 0.973 0.669
O 0.316 0.480 0.691
O 0.874 0.371 0.352
O 0.520 0.309 0.684
O 0.895 0.208 0.879
O 0.371 0.352 0.874
O 0.684 0.520 0.309
O 0.900 0.718 0.703
O 0.737 0.185 0.667
O 0.973 0.669 0.267
O 0.282 0.297 0.100
O 0.049 0.718 0.493
O 0.493 0.049 0.718
O 0.507 0.951 0.282
O 0.648 0.126 0.629
O 0.208 0.879 0.895
O 0.331 0.733 0.027
O 0.126 0.629 0.648
O 0.203 0.854 0.670
O 0.084 0.579 0.112
O 0.997 0.851 0.780
O 0.107 0.868 0.278
O 0.733 0.027 0.331
O 0.893 0.132 0.722
O 0.854 0.670 0.203
O 0.629 0.648 0.126
O 0.667 0.737 0.185
O 0.027 0.331 0.733
O 0.670 0.203 0.854
O 0.003 0.248 0.656
O 0.132 0.722 0.893
O 0.220 0.003 0.149
O 0.121 0.105 0.792
O 0.718 0.703 0.900
O 0.185 0.667 0.737
O 0.668 0.032 0.524
O 0.718 0.493 0.049
O 0.330 0.797 0.146
O 0.691 0.316 0.480
O 0.003 0.149 0.220
O 0.656 0.003 0.248
O 0.669 0.267 0.973
O 0.579 0.112 0.084
O 0.297 0.100 0.282
O 0.333 0.263 0.815
O 0.851 0.780 0.997
O 0.421 0.888 0.916
O 0.997 0.752 0.344
O 0.344 0.997 0.752
O 0.100 0.282 0.297
O 0.879 0.895 0.208
O 0.792 0.121 0.105
O 0.480 0.691 0.316
```